This record from Materials Project describes an optimized crystal structure of Sc8Te3. The functional is PBE.

The structure in POSCAR format:
```
Sc8Te3
1.0
14.5669 -1.9269 0.0000
14.5669 1.9269 0.0000
-12.1367 0.0000 18.9516
Sc Te
32 12
Direct
0.0082 0.0082 0.4129 Sc
0.0118 0.0118 0.9325 Sc
0.0614 0.0614 0.7850 Sc
0.1508 0.1508 0.6903 Sc
0.1674 0.1674 0.3478 Sc
0.2013 0.2013 0.9703 Sc
0.2392 0.2392 0.5424 Sc
0.2767 0.2767 0.8977 Sc
0.2873 0.2873 0.3664 Sc
0.3027 0.3027 0.7457 Sc
0.3287 0.3287 0.1554 Sc
0.3660 0.3660 0.5625 Sc
0.4081 0.4081 0.0893 Sc
0.4262 0.4262 0.9316 Sc
0.4378 0.4378 0.4467 Sc
0.4617 0.4617 0.7861 Sc
0.5383 0.5383 0.2139 Sc
0.5622 0.5622 0.5533 Sc
0.5738 0.5738 0.0684 Sc
0.5919 0.5919 0.9107 Sc
0.6340 0.6340 0.4375 Sc
0.6713 0.6713 0.8446 Sc
0.6973 0.6973 0.2543 Sc
0.7127 0.7127 0.6336 Sc
0.7233 0.7233 0.1023 Sc
0.7608 0.7608 0.4576 Sc
0.7987 0.7987 0.0297 Sc
0.8326 0.8326 0.6522 Sc
0.8492 0.8492 0.3097 Sc
0.9386 0.9386 0.2150 Sc
0.9882 0.9882 0.0675 Sc
0.9918 0.9918 0.5871 Sc
0.0563 0.0563 0.3266 Te
0.1046 0.1046 0.1862 Te
0.1303 0.1303 0.5380 Te
0.1312 0.1312 0.0307 Te
0.2594 0.2594 0.2204 Te
0.4258 0.4258 0.3073 Te
0.5742 0.5742 0.6927 Te
0.7406 0.7406 0.7796 Te
0.8688 0.8688 0.9693 Te
0.8697 0.8697 0.4620 Te
0.8954 0.8954 0.8138 Te
0.9437 0.9437 0.6734 Te
```

Properties
The value obtained for the total energy is -6.1237 eV per atom.